Version 1
Na8MgMn2O8 PBE with a Hubbard U relaxed; symmetry = No. 1
1.0
9.024 -0.193 -0.655
-1.085 5.726 -0.341
-2.319 1.576 5.111
Na Mg Mn O
8 1 2 8
direct
0.051 0.035 0.556
0.100 0.500 0.115
0.319 0.463 0.717
0.380 0.073 0.135
0.680 0.105 0.698
0.714 0.540 0.931
0.703 0.994 0.286
0.931 0.526 0.548
0.362 0.916 0.610
0.492 0.545 0.321
0.016 0.998 0.039
0.123 0.250 0.863
0.130 0.781 0.393
0.442 0.787 0.995
0.405 0.266 0.518
0.505 0.770 0.520
0.636 0.371 0.286
0.917 0.792 0.793
0.891 0.179 0.110

=====

Version 2
Na8MgMn2O8 PBE with a Hubbard U relaxed; symmetry = No. 1
1.0
6.304 0.107 -0.099
0.120 7.852 -0.096
-0.091 -0.061 5.617
Na Mg Mn O
8 1 2 8
direct
0.050 0.602 0.966
0.440 0.765 0.153
0.172 0.326 0.378
0.304 0.062 0.789
0.528 0.189 0.274
0.686 0.807 0.635
0.817 0.231 0.769
0.735 0.489 0.310
0.117 0.818 0.547
0.976 0.987 0.147
0.491 0.493 0.800
0.248 0.990 0.330
0.382 0.470 0.116
0.461 0.277 0.658
0.359 0.727 0.742
0.778 0.527 0.711
0.960 0.954 0.802
0.901 0.769 0.280
0.878 0.215 0.186

=====

Version 3
Na8MgMn2O8 PBE with a Hubbard U relaxed; symmetry = No. 1
1.0
-5.970 6.475 -0.026
-0.659 -2.376 5.355
4.521 1.657 3.457
Na Mg Mn O
8 1 2 8
direct
0.132 0.002 0.548
0.172 0.518 0.054
0.307 0.522 0.635
0.370 0.988 0.206
0.535 0.037 0.686
0.682 0.637 0.941
0.764 0.976 0.400
0.853 0.437 0.756
0.961 0.431 0.369
0.520 0.537 0.325
0.013 0.007 0.002
0.074 0.289 0.739
0.105 0.749 0.290
0.465 0.768 0.010
0.359 0.271 0.416
0.541 0.728 0.532
0.725 0.403 0.355
0.926 0.804 0.799
0.953 0.203 0.170

=====

Result of the stability comparison: version 2 is the least stable of them.

=====

Version 1
NaMg6MnO8 PBE with a Hubbard U relaxed; symmetry = No. 123
1.0
8.598 0.000 0.000
0.000 4.297 0.000
0.000 0.000 4.297
Na Mg Mn O
1 6 1 8
direct
0.000 0.500 0.500
0.500 0.000 0.000
0.500 0.500 0.500
0.248 0.000 0.500
0.752 0.000 0.500
0.248 0.500 0.000
0.752 0.500 0.000
0.000 0.000 0.000
0.238 0.000 0.000
0.762 0.000 0.000
0.265 0.500 0.500
0.735 0.500 0.500
0.000 0.000 0.500
0.500 0.000 0.500
0.000 0.500 0.000
0.500 0.500 0.000

=====

Version 2
NaMg6MnO8 PBE with a Hubbard U relaxed; symmetry = No. 123
1.0
8.501 0.000 0.000
0.000 4.332 0.000
0.000 0.000 4.332
Na Mg Mn O
1 6 1 8
direct
0.500 0.000 0.000
0.000 0.500 0.500
0.500 0.500 0.500
0.259 0.000 0.500
0.741 0.000 0.500
0.259 0.500 0.000
0.741 0.500 0.000
0.000 0.000 0.000
0.226 0.000 0.000
0.774 0.000 0.000
0.246 0.500 0.500
0.754 0.500 0.500
0.000 0.000 0.500
0.500 0.000 0.500
0.000 0.500 0.000
0.500 0.500 0.000

=====

Result of the stability comparison: version 1 is the least stable of them.

=====

Version 1
Na2MgMn2O4 PBE with a Hubbard U relaxed; symmetry = No. 6
1.0
3.211 0.000 0.000
0.000 5.463 0.063
0.000 0.089 6.958
Na Mg Mn O
2 1 2 4
direct
0.250 0.318 0.072
0.750 0.832 0.875
0.250 0.000 0.381
0.250 0.366 0.676
0.750 0.604 0.346
0.750 0.220 0.375
0.250 0.718 0.567
0.750 0.276 0.841
0.250 0.749 0.168

=====

Version 2
Na2MgMn2O4 PBE with a Hubbard U relaxed; symmetry = No. 38
1.0
2.943 0.000 0.000
-1.471 5.376 0.000
0.000 0.000 11.690
Na Mg Mn O
2 1 2 4
direct
0.696 0.391 0.250
0.100 0.199 0.750
0.967 0.934 0.250
0.047 0.095 0.494
0.047 0.095 0.006
0.517 0.033 0.367
0.576 0.151 0.599
0.576 0.151 0.901
0.517 0.033 0.133

=====

Result of the stability comparison: version 2 is the least stable of them.

=====

Version 1
NaMgMn4O8 PBE with a Hubbard U relaxed; symmetry = No. 8
1.0
2.191 1.276 5.667
-5.295 -3.043 -1.120
2.851 -4.478 -3.471
Na Mg Mn O
1 1 4 8
direct
0.507 0.995 0.502
0.230 0.325 0.555
0.000 0.995 0.995
0.987 0.503 0.988
0.484 0.000 0.988
0.526 0.528 0.054
0.029 0.785 0.814
0.063 0.257 0.793
0.533 0.250 0.782
0.536 0.731 0.793
0.437 0.751 0.188
0.449 0.241 0.211
0.957 0.220 0.176
0.971 0.762 0.211

=====

Version 2
NaMgMn4O8 PBE with a Hubbard U relaxed; symmetry = No. 12
1.0
2.698 -5.286 1.538
3.107 5.285 -0.022
-4.100 2.613 3.835
Na Mg Mn O
1 1 4 8
direct
0.500 0.000 0.500
0.000 0.500 0.500
0.000 0.000 0.000
0.000 0.500 0.000
0.500 0.000 0.000
0.500 0.500 0.000
0.043 0.746 0.789
0.040 0.301 0.795
0.548 0.250 0.797
0.495 0.756 0.795
0.452 0.750 0.203
0.505 0.244 0.205
0.957 0.254 0.211
0.960 0.699 0.205

=====

Result of the stability comparison: version 1 is the least stable of them.

=====

Version 1
Mg6MnNbO8 PBE with a Hubbard U relaxed; symmetry = No. 123
1.0
8.832 0.000 0.000
0.000 4.335 0.000
0.000 0.000 4.335
Mg Mn Nb O
6 1 1 8
direct
0.000 0.500 0.500
0.500 0.500 0.500
0.247 0.000 0.500
0.753 0.000 0.500
0.247 0.500 0.000
0.753 0.500 0.000
0.000 0.000 0.000
0.500 0.000 0.000
0.245 0.000 0.000
0.755 0.000 0.000
0.251 0.500 0.500
0.749 0.500 0.500
0.000 0.000 0.500
0.500 0.000 0.500
0.000 0.500 0.000
0.500 0.500 0.000

=====

Version 2
Mg6MnNbO8 PBE with a Hubbard U relaxed; symmetry = No. 123
1.0
-3.138 5.104 6.400
-3.248 1.246 -2.587
-2.416 -3.297 1.445
Mg Mn Nb O
6 1 1 8
direct
0.500 0.000 0.000
0.500 0.500 0.500
0.258 0.000 0.500
0.742 0.000 0.500
0.258 0.500 0.000
0.742 0.500 0.000
0.000 0.000 0.000
0.000 0.500 0.500
0.260 0.000 0.000
0.740 0.000 0.000
0.262 0.500 0.500
0.738 0.500 0.500
0.000 0.000 0.500
0.500 0.000 0.500
0.000 0.500 0.000
0.500 0.500 0.000

=====

Result of the stability comparison: version 1 is the least stable of them.

=====

Version 1
MgMn6Nb4O18 PBE with a Hubbard U relaxed; symmetry = No. 1
1.0
-1.378 -3.982 3.128
3.860 -0.690 -3.952
11.529 4.117 8.716
Mg Mn Nb O
1 6 4 18
direct
0.659 0.386 0.535
0.706 0.336 0.778
0.654 0.317 0.982
0.700 0.348 0.347
0.335 0.723 0.524
0.333 0.660 0.005
0.667 0.306 0.170
0.972 0.980 0.859
0.997 0.963 0.153
0.006 0.026 0.649
0.999 0.000 0.362
0.351 0.297 0.090
0.658 0.675 0.926
0.935 0.229 0.248
0.342 0.079 0.249
0.977 0.645 0.096
0.689 0.710 0.591
0.722 0.027 0.750
0.952 0.306 0.897
0.978 0.674 0.431
0.323 0.036 0.591
0.306 0.241 0.756
0.994 0.335 0.587
0.789 0.698 0.256
0.291 0.979 0.929
0.702 0.016 0.085
0.693 0.001 0.419
0.339 0.285 0.420
0.938 0.725 0.763

=====

Version 2
MgMn6Nb4O18 PBE with a Hubbard U relaxed; symmetry = No. 1
1.0
5.350 -0.025 -0.483
-2.686 4.851 0.147
-1.322 -0.302 15.231
Mg Mn Nb O
1 6 4 18
direct
0.761 0.707 0.452
0.635 0.338 0.683
0.601 0.280 0.980
0.576 0.107 0.480
0.238 0.639 0.566
0.289 0.625 0.006
0.690 0.355 0.179
0.871 0.931 0.871
0.018 0.973 0.136
0.984 0.012 0.669
0.103 0.095 0.332
0.348 0.297 0.086
0.582 0.631 0.919
0.011 0.290 0.236
0.386 0.103 0.238
0.955 0.629 0.086
0.670 0.761 0.567
0.757 0.064 0.754
0.928 0.246 0.931
0.149 0.789 0.436
0.298 0.026 0.608
0.330 0.331 0.730
0.877 0.315 0.598
0.868 0.757 0.243
0.218 0.930 0.922
0.680 0.993 0.081
0.816 0.053 0.397
0.449 0.360 0.405
0.922 0.705 0.744

=====

Result of the stability comparison: version 2 is the least stable of them.